Record 1
Density functional theory data (PBE-GGA) for an optimized crystal structure of Ba2CeMgNbO6.

Properties
Calculated formation energy = -2.942 eV/atom

abc: 5.9632 5.9632 6.8285
angles: 118.35 118.35 60.50
Atoms (fractional coordinates):
Ba (0.0000, 0.0000, 0.0000)
Ba (0.2327, 0.2327, 0.7117)
Ce (0.4440, 0.4440, 0.3367)
Mg (0.7951, 0.7951, 0.4154)
Nb (0.6183, 0.6183, 0.8650)
O (0.0120, 0.5370, 0.0817)
O (0.2040, 0.6992, 0.6252)
O (0.5370, 0.0120, 0.0817)
O (0.5521, 0.5521, 0.1087)
O (0.6992, 0.2040, 0.6252)
O (0.7067, 0.7067, 0.6375)

***

Record 2
Density functional theory data (PBE-GGA) for an optimized crystal structure of BaCeN2.

Properties
Calculated formation energy = -1.229 eV/atom

abc: 3.6980 3.6980 12.6954
angles: 90.00 90.00 120.00
Atoms (fractional coordinates):
Ba (0.3333, 0.6667, 0.2500)
Ba (0.6667, 0.3333, 0.7500)
Ce (0.0000, 0.0000, 0.0000)
Ce (0.0000, 0.0000, 0.5000)
N (0.3333, 0.6667, 0.5958)
N (0.3333, 0.6667, 0.9042)
N (0.6667, 0.3333, 0.0958)
N (0.6667, 0.3333, 0.4042)

***

Record 3
Density functional theory data (PBE-GGA) for an optimized crystal structure of Ba2CeNbO6.

Properties
Calculated formation energy = -3.376 eV/atom

abc: 6.1034 6.1034 6.1645
angles: 120.09 120.09 60.03
Atoms (fractional coordinates):
Ba (0.2488, 0.2488, 0.2452)
Ba (0.7512, 0.7512, 0.7548)
Ce (0.0000, 0.0000, 0.5000)
Nb (0.5000, 0.5000, 0.0000)
O (0.2349, 0.7088, 0.2058)
O (0.2652, 0.2652, 0.7123)
O (0.2912, 0.7651, 0.7942)
O (0.7088, 0.2349, 0.2058)
O (0.7348, 0.7348, 0.2877)
O (0.7651, 0.2912, 0.7942)

***

Record 4
Density functional theory data (PBE-GGA) for an optimized crystal structure of Ba2CeNbO6.

Properties
Calculated formation energy = -3.367 eV/atom

abc: 6.1285 6.1285 6.1285
angles: 60.00 60.00 60.00
Atoms (fractional coordinates):
Ba (0.2500, 0.2500, 0.2500)
Ba (0.7500, 0.7500, 0.7500)
Ce (0.0000, 0.0000, 0.0000)
Nb (0.5000, 0.5000, 0.5000)
O (0.2637, 0.2637, 0.7363)
O (0.2637, 0.7363, 0.2637)
O (0.2637, 0.7363, 0.7363)
O (0.7363, 0.2637, 0.2637)
O (0.7363, 0.2637, 0.7363)
O (0.7363, 0.7363, 0.2637)

***

Record 5
Density functional theory data (PBE-GGA) for an optimized crystal structure of Ba2CeNbO6.

Properties
Calculated formation energy = -3.369 eV/atom

abc: 8.6654 8.6654 8.6654
angles: 90.00 90.00 90.00
Atoms (fractional coordinates):
Ba (0.2500, 0.2500, 0.2500)
Ba (0.2500, 0.2500, 0.7500)
Ba (0.2500, 0.7500, 0.2500)
Ba (0.2500, 0.7500, 0.7500)
Ba (0.7500, 0.2500, 0.2500)
Ba (0.7500, 0.2500, 0.7500)
Ba (0.7500, 0.7500, 0.2500)
Ba (0.7500, 0.7500, 0.7500)
Ce (0.0000, 0.0000, 0.0000)
Ce (0.0000, 0.5000, 0.5000)
Ce (0.5000, 0.0000, 0.5000)
Ce (0.5000, 0.5000, 0.0000)
Nb (0.0000, 0.0000, 0.5000)
Nb (0.0000, 0.5000, 0.0000)
Nb (0.5000, 0.0000, 0.0000)
Nb (0.5000, 0.5000, 0.5000)
O (0.0183, 0.5194, 0.7651)
O (0.0183, 0.9806, 0.7349)
O (0.0194, 0.2349, 0.5183)
O (0.0194, 0.2651, 0.9817)
O (0.2349, 0.5183, 0.0194)
O (0.2349, 0.9817, 0.4806)
O (0.2651, 0.5183, 0.4806)
O (0.2651, 0.9817, 0.0194)
O (0.4806, 0.2349, 0.9817)
O (0.4806, 0.2651, 0.5183)
O (0.4817, 0.5194, 0.7349)
O (0.4817, 0.9806, 0.7651)
O (0.5183, 0.0194, 0.2349)
O (0.5183, 0.4806, 0.2651)
O (0.5194, 0.7349, 0.4817)
O (0.5194, 0.7651, 0.0183)
O (0.7349, 0.0183, 0.9806)
O (0.7349, 0.4817, 0.5194)
O (0.7651, 0.0183, 0.5194)
O (0.7651, 0.4817, 0.9806)
O (0.9806, 0.7349, 0.0183)
O (0.9806, 0.7651, 0.4817)
O (0.9817, 0.0194, 0.2651)
O (0.9817, 0.4806, 0.2349)

***

Record 6
Density functional theory data (PBE-GGA) for an optimized crystal structure of BaCeO3.

Properties
Calculated formation energy = -3.550 eV/atom

abc: 4.4742 4.4742 4.4742
angles: 90.00 90.00 90.00
Atoms (fractional coordinates):
Ba (0.0000, 0.0000, 0.0000)
Ce (0.5000, 0.5000, 0.5000)
O (0.0000, 0.5000, 0.5000)
O (0.5000, 0.0000, 0.5000)
O (0.5000, 0.5000, 0.0000)